1.
{"formula": "SiO2", "functional": "PBE", "state": "relaxed", "formation_energy_mev_per_atom": -3252, "corrected_energy_ev_per_atom": -8.359, "lattice_angstrom": [[-12.4707, -6.2657, 2.3524], [-11.5580, 7.8575, 2.2325], [-10.1727, 0.5740, -9.8233]], "species": ["Si", "O", "O", "O", "O", "O", "O", "Si", "O", "Si", "Si", "O", "O", "Si", "O", "O", "O", "O", "O", "O", "Si", "O", "Si", "Si", "Si", "O", "O", "Si", "Si", "O", "Si", "Si", "O", "Si", "O", "Si", "O", "O", "Si", "O", "Si", "O", "O", "O", "Si", "O", "O", "O", "Si", "O", "O", "Si", "Si", "Si", "O", "O", "O", "O", "O", "O", "O", "O", "O", "O", "Si", "O", "O", "O", "O", "O", "O", "O", "O", "O", "O", "O", "O", "Si", "Si", "Si", "Si", "Si", "O", "Si", "Si", "O", "Si", "O", "O", "O", "O", "O", "O", "O", "Si", "O", "Si", "O", "Si", "O", "O", "O"], "frac_coords": [[0.0000, 0.0000, 0.0000], [0.6250, 0.4397, 0.8103], [0.2490, 0.2490, 0.7510], [0.6250, 0.4397, 0.1250], [0.4193, 0.2319, 0.9296], [0.8307, 0.0181, 0.8307], [0.3204, 0.0181, 0.8307], [0.8892, 0.4958, 0.4958], [0.9539, 0.1383, 0.9539], [0.9077, 0.2768, 0.9077], [0.1192, 0.4958, 0.4958], [0.1250, 0.4397, 0.6250], [0.1250, 0.8103, 0.6250], [0.7542, 0.3608, 0.7542], [0.4990, 0.4990, 0.0010], [0.0181, 0.3204, 0.8307], [0.8103, 0.4397, 0.6250], [0.6250, 0.1250, 0.8103], [0.8103, 0.6250, 0.4397], [0.4397, 0.8103, 0.1250], [0.2768, 0.9077, 0.9077], [0.4397, 0.8103, 0.6250], [0.2500, 0.2500, 0.2500], [0.1192, 0.4958, 0.8892], [0.9732, 0.3423, 0.3423], [0.0010, 0.4990, 0.0010], [0.4193, 0.9296, 0.4193], [0.8892, 0.1192, 0.4958], [0.3423, 0.3423, 0.9732], [0.3204, 0.8307, 0.0181], [0.9077, 0.9077, 0.9077], [0.3423, 0.3423, 0.3423], [0.4990, 0.0010, 0.0010], [0.1308, 0.7542, 0.7542], [0.6250, 0.1250, 0.4397], [0.7542, 0.3608, 0.1308], [0.8103, 0.1250, 0.4397], [0.8307, 0.3204, 0.0181], [0.3608, 0.1308, 0.7542], [0.8307, 0.0181, 0.3204], [0.7542, 0.1308, 0.7542], [0.2961, 0.2961, 0.1117], [0.4397, 0.1250, 0.6250], [0.0010, 0.4990, 0.4990], [0.3608, 0.7542, 0.7542], [0.4397, 0.6250, 0.1250], [0.4397, 0.1250, 0.8103], [0.9296, 0.4193, 0.2319], [0.3608, 0.7542, 0.1308], [0.3204, 0.8307, 0.8307], [0.4193, 0.2319, 0.4193], [0.1308, 0.7542, 0.3608], [0.9077, 0.9077, 0.2768], [0.4958, 0.1192, 0.4958], [0.1250, 0.6250, 0.4397], [0.7510, 0.7510, 0.2490], [0.8307, 0.3204, 0.8307], [0.1250, 0.4397, 0.8103], [0.2961, 0.2961, 0.2961], [0.2319, 0.4193, 0.4193], [0.2961, 0.1117, 0.2961], [0.9539, 0.9539, 0.1383], [0.1250, 0.6250, 0.8103], [0.2319, 0.4193, 0.9296], [0.7542, 0.7542, 0.1308], [0.9539, 0.9539, 0.9539], [0.0181, 0.8307, 0.3204], [0.4193, 0.4193, 0.2319], [0.1117, 0.2961, 0.2961], [0.7510, 0.2490, 0.7510], [0.2490, 0.7510, 0.7510], [0.1250, 0.8103, 0.4397], [0.6250, 0.8103, 0.1250], [0.9296, 0.4193, 0.4193], [0.2490, 0.7510, 0.2490], [0.6250, 0.8103, 0.4397], [0.4193, 0.4193, 0.9296], [0.3423, 0.9732, 0.3423], [0.1192, 0.8892, 0.4958], [0.7542, 0.7542, 0.3608], [0.4958, 0.8892, 0.1192], [0.4958, 0.8892, 0.4958], [0.7510, 0.2490, 0.2490], [0.4958, 0.4958, 0.1192], [0.4958, 0.4958, 0.8892], [0.0181, 0.8307, 0.8307], [0.4958, 0.1192, 0.8892], [0.4397, 0.6250, 0.8103], [0.4193, 0.9296, 0.2319], [0.8103, 0.6250, 0.1250], [0.8307, 0.8307, 0.0181], [0.8103, 0.1250, 0.6250], [0.2319, 0.9296, 0.4193], [0.8307, 0.8307, 0.3204], [0.1308, 0.3608, 0.7542], [0.8103, 0.4397, 0.1250], [0.7542, 0.1308, 0.3608], [0.1383, 0.9539, 0.9539], [0.8892, 0.4958, 0.1192], [0.4990, 0.0010, 0.4990], [0.9296, 0.2319, 0.4193], [0.0010, 0.0010, 0.4990]]}

2.
{"formula": "Sr2NdCu3Pb2O8", "functional": "PBE", "state": "relaxed", "de_polymorph_ev_per_atom": 0.000, "formation_energy_mev_per_atom": -2041, "corrected_energy_ev_per_atom": -6.257, "lattice_angstrom": [[3.8730, 0.0000, 0.0000], [0.0262, 3.8942, 0.0000], [0.0783, 0.2068, 16.0474]], "species": ["O", "Sr", "Nd", "Sr", "Cu", "O", "O", "O", "Cu", "Pb", "Cu", "Pb", "O", "O", "O", "O"], "frac_coords": [[0.4995, 0.0002, 0.0974], [0.9992, 0.9948, 0.2232], [0.0000, 0.0000, 0.0000], [0.0008, 0.0052, 0.7768], [0.5003, 0.5008, 0.8903], [0.5041, 0.5024, 0.7471], [0.0001, 0.5010, 0.9028], [0.5005, 0.9998, 0.9026], [0.0000, 0.0000, 0.5000], [0.5020, 0.4938, 0.6109], [0.4997, 0.4992, 0.1097], [0.4980, 0.5062, 0.3891], [0.0314, 0.0913, 0.6137], [0.4959, 0.4976, 0.2529], [0.9999, 0.4990, 0.0972], [0.9686, 0.9087, 0.3863]]}

3.
{"formula": "Ti9SnO20", "functional": "PBE", "state": "relaxed", "formation_energy_mev_per_atom": -3318, "corrected_energy_ev_per_atom": -9.119, "lattice_angstrom": [[3.3050, 6.8422, 0.0000], [-3.3050, 6.8422, 0.0000], [0.0000, 0.5669, 7.2367]], "species": ["O", "Ti", "O", "O", "Ti", "Ti", "O", "O", "O", "O", "O", "O", "Ti", "O", "O", "Ti", "Ti", "O", "O", "Ti", "O", "O", "O", "O", "Ti", "Sn", "Ti", "O", "O", "O"], "frac_coords": [[0.1940, 0.8060, 0.5000], [0.7044, 0.7044, 0.7958], [0.0389, 0.0389, 0.1547], [0.5954, 0.1929, 0.1063], [0.0990, 0.0990, 0.4024], [0.9010, 0.9010, 0.5976], [0.9955, 0.6067, 0.6990], [0.6067, 0.9955, 0.6990], [0.1617, 0.1617, 0.6406], [0.4046, 0.8071, 0.8937], [0.3611, 0.3611, 0.4437], [0.0045, 0.3933, 0.3010], [0.1002, 0.1002, 0.9021], [0.2400, 0.2400, 0.9531], [0.7600, 0.7600, 0.0469], [0.2956, 0.2956, 0.2042], [0.7024, 0.7024, 0.3018], [0.8060, 0.1940, 0.5000], [0.3933, 0.0045, 0.3010], [0.8998, 0.8998, 0.0979], [0.1929, 0.5954, 0.1063], [0.9611, 0.9611, 0.8453], [0.8071, 0.4046, 0.8937], [0.6389, 0.6389, 0.5563], [0.5000, 0.5000, 0.5000], [0.5000, 0.5000, 0.0000], [0.2977, 0.2977, 0.6982], [0.5627, 0.5627, 0.2502], [0.4373, 0.4373, 0.7498], [0.8383, 0.8383, 0.3594]]}

4.
{"formula": "PrCuSi", "functional": "PBE", "state": "relaxed", "formation_energy_mev_per_atom": -555, "corrected_energy_ev_per_atom": -5.324, "lattice_angstrom": [[-2.6995, 3.1507, 0.2028], [-1.0633, -3.7430, 1.4542], [1.4887, 1.0341, 3.7502]], "species": ["Si", "Pr", "Cu"], "frac_coords": [[0.3333, 0.6667, 0.5000], [0.6667, 0.3333, 0.0000], [0.0000, 0.0000, 0.5000]]}